SmInPd | r²SCAN | optimized geometry

a b c (Å): 7.7663 7.7663 3.8949
angles (deg): 90.00 90.00 120.00
Fractional coordinates of all 9 atoms:
Sm 0.0000 0.5905 0.0000
Sm 0.4095 0.4095 0.0000
Sm 0.5905 0.0000 0.0000
In 0.0000 0.2566 0.5000
In 0.2566 0.0000 0.5000
In 0.7434 0.7434 0.5000
Pd 0.0000 0.0000 0.0000
Pd 0.3333 0.6667 0.5000
Pd 0.6667 0.3333 0.5000

Properties
* E_tot: -25.981 eV per atom
* energy relative to the elements: -0.89 eV/atom

---

SmIn2Pd | r²SCAN | optimized geometry

a b c (Å): 10.8907 10.8907 10.8907
angles (deg): 100.31 100.31 129.94
Fractional coordinates of all 40 atoms:
Sm 0.0000 0.0000 0.0000
Sm 0.0834 0.0834 0.4045
Sm 0.0834 0.6789 0.0000
Sm 0.1155 0.3951 0.7204
Sm 0.3951 0.1155 0.7204
Sm 0.3951 0.6747 0.2796
Sm 0.4687 0.4687 0.0000
Sm 0.6747 0.3951 0.2796
Sm 0.6789 0.0834 0.0000
Sm 0.6789 0.6789 0.5955
In 0.0950 0.0950 0.7343
In 0.0950 0.3606 0.0000
In 0.2542 0.8713 0.3829
In 0.2728 0.4831 0.4929
In 0.2728 0.7799 0.7897
In 0.3606 0.0950 0.0000
In 0.3606 0.3606 0.2657
In 0.4831 0.2728 0.4929
In 0.4831 0.9902 0.2103
In 0.4884 0.8713 0.6171
In 0.5626 0.7256 0.8371
In 0.7256 0.5626 0.8371
In 0.7256 0.8885 0.1629
In 0.7799 0.2728 0.7897
In 0.7799 0.9902 0.5071
In 0.8713 0.2542 0.3829
In 0.8713 0.4884 0.6171
In 0.8885 0.7256 0.1629
In 0.9902 0.4831 0.2103
In 0.9902 0.7799 0.5071
Pd 0.0342 0.2510 0.2168
Pd 0.0342 0.8175 0.7832
Pd 0.1236 0.6236 0.5000
Pd 0.2510 0.0342 0.2168
Pd 0.3814 0.3814 0.6791
Pd 0.3814 0.7023 0.0000
Pd 0.6236 0.1236 0.5000
Pd 0.7023 0.3814 0.0000
Pd 0.7023 0.7023 0.3209
Pd 0.8175 0.0342 0.7832

Properties
* E_tot: -25.231 eV per atom
* energy relative to the elements: -0.77 eV/atom

---

Sm2In8Pd | r²SCAN | optimized geometry

a b c (Å): 4.6846 4.6846 12.1479
angles (deg): 90.00 90.00 90.00
Fractional coordinates of all 11 atoms:
Sm 0.0000 0.0000 0.1898
Sm 0.0000 0.0000 0.8102
In 0.0000 0.5000 0.0000
In 0.0000 0.5000 0.3761
In 0.0000 0.5000 0.6239
In 0.5000 0.0000 0.0000
In 0.5000 0.0000 0.3761
In 0.5000 0.0000 0.6239
In 0.5000 0.5000 0.1936
In 0.5000 0.5000 0.8064
Pd 0.0000 0.0000 0.5000

Properties
* E_tot: -24.467 eV per atom
* energy relative to the elements: -0.55 eV/atom

---

Sr2InPd2 | r²SCAN | optimized geometry

a b c (Å): 6.0450 6.0450 8.3728
angles (deg): 101.76 101.76 60.14
Fractional coordinates of all 10 atoms:
Sr 0.0086 0.2882 0.1473
Sr 0.2882 0.0086 0.6473
Sr 0.7118 0.9914 0.3527
Sr 0.9914 0.7118 0.8527
In 0.3670 0.6330 0.2500
In 0.6330 0.3670 0.7500
Pd 0.2299 0.5027 0.4970
Pd 0.4973 0.7701 0.0030
Pd 0.5027 0.2299 0.9970
Pd 0.7701 0.4973 0.5030

Properties
* E_tot: -20.450 eV per atom
* energy relative to the elements: -0.69 eV/atom

---

SrIn4Pd | r²SCAN | optimized geometry

a b c (Å): 8.8972 8.8972 7.5225
angles (deg): 90.00 90.00 150.07
Fractional coordinates of all 12 atoms:
Sr 0.1238 0.8762 0.7500
Sr 0.8762 0.1238 0.2500
In 0.0694 0.9306 0.2500
In 0.3153 0.6847 0.5510
In 0.3153 0.6847 0.9490
In 0.5000 0.5000 0.0000
In 0.5000 0.5000 0.5000
In 0.6847 0.3153 0.0510
In 0.6847 0.3153 0.4490
In 0.9306 0.0694 0.7500
Pd 0.2251 0.7749 0.2500
Pd 0.7749 0.2251 0.7500

Properties
* E_tot: -21.947 eV per atom
* energy relative to the elements: -0.54 eV/atom

---

Tb2InPd2 | r²SCAN | optimized geometry

a b c (Å): 7.7554 7.7554 3.6664
angles (deg): 90.00 90.00 90.00
Fractional coordinates of all 10 atoms:
Tb 0.1737 0.3263 0.0000
Tb 0.3263 0.8263 0.0000
Tb 0.6737 0.1737 0.0000
Tb 0.8263 0.6737 0.0000
In 0.0000 0.0000 0.5000
In 0.5000 0.5000 0.5000
Pd 0.1276 0.6276 0.5000
Pd 0.3724 0.1276 0.5000
Pd 0.6276 0.8724 0.5000
Pd 0.8724 0.3724 0.5000

Properties
* E_tot: -27.134 eV per atom
* energy relative to the elements: -0.94 eV/atom